[1]
This record from the Materials Project describes a relaxed Ta5N6 crystal. The functional is GGA-PBE.

abc: 5.2178 5.2178 10.4621
angles: 90.00 90.00 120.00
Last column: nearest neighbours and their distance in Å.
Space group P6_3/mcm (No. 193)
Unique sites:
Ta 0.0000 0.3246 0.2500  6 N 2.19-2.21
Ta 0.3333 0.6667 0.0000  6 N 2.15
N 0.0000 0.3390 0.6219  5 Ta 2.15-2.21

***

[2]
This record from the Materials Project describes a relaxed Ba4Cu3PbO9 crystal. The functional is GGA-PBE.

abc: 8.1928 8.1928 8.1928
angles: 90.00 90.00 90.00
Last column: nearest neighbours and their distance in Å.
Space group Pm-3n (No. 223)
Unique sites:
Ba 0.2500 0.2500 0.2500  9 O 2.90
Cu 0.0000 0.0000 0.5000  4 O 1.87-2.05
Pb 0.0000 0.0000 0.0000  6 O 2.22
O 0.0000 0.0000 0.2713  1 Cu 1.87
O 0.0000 0.2500 0.5000  2 Cu 2.05

Computed properties:
magnetization	0.000	μB/atom

***

[3]
This record from the Materials Project describes a relaxed Gd3Y5O12 crystal. The functional is GGA-PBE.

abc: 9.3128 9.3190 9.3192
angles: 109.48 109.45 109.43
Last column: nearest neighbours and their distance in Å.
Space group P1 (No. 1)
Unique sites:
Gd 0.0000 0.0000 0.0000  6 O 2.29-2.38
Gd 0.0319 0.2179 0.7497  6 O 2.29-2.38
Gd 0.2496 0.4687 0.2830  6 O 2.29-2.38
Gd 0.5303 0.7826 0.8139  6 O 2.29-2.37
Gd 0.7482 0.9672 0.2823  6 O 2.30-2.38
Gd 0.8131 0.5311 0.7819  6 O 2.29-2.39
Y 0.0314 0.7171 0.2505  6 O 2.27-2.36
Y 0.0642 0.5009 0.5651  6 O 2.27-2.35
Y 0.2814 0.2494 0.5322  6 O 2.30-2.31
Y 0.2812 0.7509 0.0325  6 O 2.30-2.32
Y 0.3149 0.0336 0.7818  6 O 2.28-2.35
Y 0.4969 0.9999 0.4985  6 O 2.28-2.36
Y 0.5318 0.2827 0.3148  6 O 2.27-2.36
Y 0.5645 0.4994 0.0657  6 O 2.28-2.36
Y 0.7804 0.2507 0.0330  6 O 2.30-2.32
Y 0.7823 0.7491 0.5312  6 O 2.30-2.32
O 0.0084 0.4900 0.3036  3 Y 2.28-2.32, 1 Gd 2.38
O 0.0123 0.2204 0.4902  2 Y 2.30-2.31, 2 Gd 2.30-2.37
O 0.0186 0.2616 0.0012  3 Gd 2.29-2.38, 1 Y 2.31
O 0.0452 0.4823 0.8042  2 Gd 2.29-2.31, 2 Y 2.30-2.35
O 0.0523 0.9769 0.7689  2 Y 2.28-2.31, 2 Gd 2.32-2.38
O 0.0536 0.7914 0.0452  2 Y 2.29-2.31, 2 Gd 2.29-2.38
O 0.2380 0.9790 0.5002  4 Y 2.28-2.36
O 0.2525 0.2084 0.2635  2 Y 2.29-2.31, 2 Gd 2.30-2.38
O 0.2690 0.7824 0.7929  3 Y 2.28-2.32, 1 Gd 2.37
O 0.2920 0.7206 0.2715  3 Y 2.29-2.36, 1 Gd 2.29
O 0.3160 0.2921 0.8027  3 Y 2.28-2.35, 1 Gd 2.33
O 0.3213 0.5183 0.5640  2 Gd 2.29-2.31, 2 Y 2.31-2.35
O 0.5074 0.7055 0.0216  2 Y 2.28-2.31, 2 Gd 2.33-2.38
O 0.5132 0.5216 0.2934  3 Y 2.29-2.36, 1 Gd 2.30
O 0.5178 0.0204 0.2599  3 Y 2.27-2.36, 1 Gd 2.32
O 0.5414 0.2386 0.0638  4 Y 2.27-2.36
O 0.5499 0.2793 0.5724  3 Y 2.29-2.36, 1 Gd 2.29
O 0.5528 0.0143 0.7616  3 Y 2.28-2.34, 1 Gd 2.33
O 0.7391 0.7387 0.7579  3 Gd 2.30-2.38, 1 Y 2.30
O 0.7472 0.9867 0.5426  2 Y 2.28-2.32, 2 Gd 2.33-2.37
O 0.7706 0.4782 0.9924  3 Y 2.28-2.36, 1 Gd 2.30
O 0.7913 0.0232 0.0737  3 Gd 2.30-2.37, 1 Y 2.30
O 0.8123 0.5093 0.5192  3 Y 2.27-2.31, 1 Gd 2.39
O 0.8238 0.7590 0.3040  3 Y 2.27-2.36, 1 Gd 2.32

***

[4]
This record from the Materials Project describes a relaxed NaSc2Al2PS5O24 crystal. The functional is GGA-PBE.

abc: 8.5385 8.5387 22.3877
angles: 89.94 89.98 60.11
Last column: nearest neighbours and their distance in Å.
Space group P1 (No. 1)
Unique sites:
Na 0.0000 0.0000 0.0000  6 O 2.40-2.64
Na 0.9999 0.0110 0.5018  4 O 2.41-2.67
Na 0.6614 0.6722 0.6645  6 O 2.45-2.57
Sc 0.0012 0.0104 0.6449  6 O 1.98-2.08
Sc 0.0014 0.9976 0.8562  6 O 2.02-2.15
Sc 0.3402 0.3303 0.4773  6 O 1.96-2.17
Sc 0.3406 0.3334 0.6856  6 O 1.96-2.10
Sc 0.6613 0.6720 0.5193  6 O 1.97-2.14
Sc 0.6758 0.6692 0.8181  6 O 1.95-2.13
Al 0.0010 0.0049 0.1501  6 O 1.91-2.02
Al 0.0009 0.0055 0.3485  6 O 1.91-1.94
Al 0.3290 0.3429 0.9800  5 O 1.78-1.98
Al 0.3345 0.3383 0.1862  6 O 1.95-1.97
Al 0.6681 0.6710 0.3120  6 O 1.89-1.99
Al 0.6726 0.6738 0.0200  4 O 1.79-1.99
P 0.3351 0.0456 0.5822  4 O 1.53
P 0.6264 0.3379 0.5822  4 O 1.53
P 0.9630 0.6622 0.9231  4 O 1.52-1.55
S 0.0000 0.2990 0.7511  4 O 1.45-1.48
S 0.0016 0.7162 0.2491  4 O 1.48-1.50
S 0.0428 0.6291 0.5822  4 O 1.47
S 0.0472 0.3367 0.0843  4 O 1.48-1.51
S 0.2891 0.0053 0.2491  4 O 1.48-1.50
S 0.2959 0.7112 0.7504  4 O 1.45-1.48
S 0.3351 0.6261 0.0840  4 O 1.48-1.51
S 0.3710 0.6817 0.4101  4 O 1.46-1.50
S 0.3822 0.9664 0.9227  4 O 1.47-1.49
S 0.6206 0.0522 0.0839  4 O 1.48-1.51
S 0.6585 0.3859 0.9227  4 O 1.47-1.48
S 0.6791 0.9551 0.4103  4 O 1.46-1.50
S 0.7085 0.0032 0.7503  4 O 1.46-1.48
S 0.7124 0.2928 0.2491  4 O 1.48-1.50
S 0.9526 0.3771 0.4105  4 O 1.46-1.50
O 0.0225 0.1900 0.8049  1 S 1.47
O 0.0242 0.8092 0.5871  1 S 1.47
O 0.0279 0.1721 0.0937  1 S 1.51
O 0.0372 0.7988 0.3021  1 S 1.49
O 0.1214 0.5236 0.6369  1 S 1.47
O 0.1302 0.3614 0.4166  1 S 1.46
O 0.1309 0.3685 0.1379  1 S 1.49
O 0.1484 0.4967 0.9332  1 P 1.52
O 0.1504 0.5482 0.5280  1 S 1.47
O 0.1589 0.3186 0.7454  1 S 1.45
O 0.1630 0.5363 0.2381  1 S 1.49
O 0.1646 0.2993 0.0311  1 S 1.48
O 0.1697 0.0214 0.5863  1 P 1.53
O 0.1703 0.8093 0.0933  1 S 1.51
O 0.1708 0.0410 0.3021  1 S 1.49
O 0.1869 0.7981 0.8045  1 S 1.48
O 0.1896 0.8456 0.4013  1 S 1.50
O 0.2001 0.9870 0.9168  1 S 1.48
O 0.2057 0.9697 0.1959  1 S 1.50
O 0.2135 0.8224 0.6968  1 S 1.47
O 0.2988 0.5449 0.0309  1 S 1.48
O 0.3043 0.1595 0.5258  1 P 1.53
O 0.3076 0.1671 0.2381  1 S 1.49
O 0.3093 0.5350 0.7455  1 S 1.45
O 0.3525 0.5219 0.4168  1 S 1.46
O 0.3603 0.1295 0.6390  1 P 1.53
O 0.3656 0.5115 0.1379  1 S 1.49
O 0.3666 0.1438 0.9325  1 S 1.47
O 0.4434 0.7176 0.4653  1 S 1.48
O 0.4683 0.8435 0.9743  1 S 1.49
O 0.4690 0.8448 0.2597  1 S 1.48
O 0.4760 0.6938 0.7562  1 S 1.48
O 0.4845 0.8917 0.8669  1 S 1.47
O 0.4915 0.6531 0.3584  1 S 1.49
O 0.4952 0.6464 0.0738  1 S 1.48
O 0.5005 0.3635 0.9324  1 S 1.47
O 0.5062 0.8602 0.5772  1 P 1.53
O 0.5066 0.1363 0.1377  1 S 1.49
O 0.5145 0.3699 0.6389  1 P 1.53
O 0.5175 0.1336 0.4158  1 S 1.46
O 0.5312 0.1648 0.7462  1 S 1.46
O 0.5323 0.3111 0.2381  1 S 1.49
O 0.5394 0.3140 0.5256  1 P 1.53
O 0.5400 0.1688 0.0306  1 S 1.48
O 0.6264 0.4902 0.8670  1 S 1.48
O 0.6388 0.8722 0.0748  1 S 1.48
O 0.6505 0.5039 0.5774  1 P 1.53
O 0.6505 0.8640 0.3584  1 S 1.48
O 0.6888 0.8412 0.7553  1 S 1.48
O 0.6897 0.4754 0.9744  1 S 1.48
O 0.6930 0.4730 0.2596  1 S 1.48
O 0.7136 0.8485 0.4655  1 S 1.47
O 0.7944 0.0260 0.8043  1 S 1.48
O 0.7948 0.1746 0.3021  1 S 1.49
O 0.8048 0.0320 0.0932  1 S 1.51
O 0.8115 0.1672 0.5866  1 P 1.53
O 0.8194 0.9736 0.6968  1 S 1.47
O 0.8232 0.2067 0.9166  1 S 1.48
O 0.8312 0.2096 0.1958  1 S 1.50
O 0.8341 0.6983 0.9761  1 P 1.54
O 0.8347 0.4786 0.7553  1 S 1.48
O 0.8407 0.6969 0.2596  1 S 1.48
O 0.8417 0.9753 0.4014  1 S 1.50
O 0.8451 0.4496 0.4656  1 S 1.48
O 0.8608 0.4959 0.3584  1 S 1.49
O 0.8626 0.6478 0.5770  1 S 1.47
O 0.8665 0.4961 0.0746  1 S 1.48
O 0.8838 0.6331 0.8651  1 P 1.54
O 0.9659 0.8352 0.1958  1 S 1.50
O 0.9708 0.2172 0.6973  1 S 1.47
O 0.9720 0.1943 0.4016  1 S 1.50
O 0.9804 0.8338 0.9166  1 P 1.55

Computed properties:
magnetization	0.000	μB/atom

***

[5]
This record from the Materials Project describes a relaxed Mg3In crystal. The functional is GGA-PBE.

abc: 6.3461 6.3461 5.2643
angles: 90.00 90.00 120.00
Last column: nearest neighbours and their distance in Å.
Space group P6_3/mmc (No. 194)
Unique sites:
Mg 0.1662 0.3324 0.2500  8 Mg 3.16-3.20, 4 In 3.17-3.21
In 0.3333 0.6667 0.7500  12 Mg 3.17-3.21

***

[6]
This record from the Materials Project describes a relaxed Ce2ZnIn crystal. The functional is GGA-PBE.

abc: 7.4662 7.4662 7.4662
angles: 90.00 90.00 90.00
Last column: nearest neighbours and their distance in Å.
Space group Fm-3m (No. 225)
Unique sites:
Ce 0.2500 0.2500 0.2500  4 In 3.23, 4 Zn 3.23
Zn 0.0000 0.0000 0.0000  8 Ce 3.23
In 0.0000 0.0000 0.5000  8 Ce 3.23

Computed properties:
magnetization	0.297	μB/atom

***

[7]
This record from the Materials Project describes a relaxed LiTbO2 crystal. The functional is GGA-PBE.

abc: 11.3094 3.4138 5.3428
angles: 90.00 90.00 90.00
Last column: nearest neighbours and their distance in Å.
Space group Pnma (No. 62)
Unique sites:
Li 0.0663 0.2500 0.0973  2 O 1.93-1.95
Tb 0.1406 0.7500 0.5463  6 O 2.23-2.44
O 0.0266 0.2500 0.7418  3 Li 1.95-2.18
O 0.2053 0.2500 0.3074  1 Li 1.93

***

[8]
This record from the Materials Project describes a relaxed K5RbZn4Sn5S17 crystal. The functional is GGA-PBE.

abc: 9.8839 11.0409 11.0446
angles: 78.43 63.46 63.48
Last column: nearest neighbours and their distance in Å.
Space group P1 (No. 1)
Unique sites:
K 0.0000 0.0000 0.0000  6 S 3.21-3.49
K 0.0030 0.5075 0.4794  6 S 3.22-3.41
K 0.2609 0.9915 0.4793  8 S 3.50-3.54
K 0.5152 0.9957 0.9612  6 S 3.20-3.46
K 0.5220 0.4702 0.4779  6 S 3.23-3.43
Rb 0.9888 0.6253 0.9431  3 S 3.35-3.46
Zn 0.4856 0.1307 0.6195  4 S 2.35-2.37
Zn 0.7635 0.8516 0.3416  4 S 2.36
Zn 0.8963 0.8531 0.6163  4 S 2.35-2.37
Zn 0.8967 0.1316 0.3391  4 S 2.35-2.37
Sn 0.2079 0.7690 0.2555  4 S 2.40-2.49
Sn 0.5126 0.4872 0.9815  4 S 2.43-2.46
Sn 0.5359 0.7691 0.7019  4 S 2.40-2.50
Sn 0.5405 0.2123 0.2571  4 S 2.40-2.49
Sn 0.7606 0.2140 0.7022  4 S 2.40-2.49
S 0.0349 0.7093 0.2006  1 Zn 2.36, 1 Sn 2.41
S 0.1741 0.7115 0.4865  1 Zn 2.36, 1 Sn 2.41
S 0.1750 0.9993 0.2003  1 Zn 2.37, 1 Sn 2.40
S 0.3387 0.9983 0.7593  1 Zn 2.37, 1 Sn 2.40
S 0.3405 0.2680 0.4869  1 Zn 2.35, 1 Sn 2.41
S 0.3712 0.3448 0.1253  2 Sn 2.43-2.49
S 0.3725 0.6322 0.8363  2 Sn 2.46-2.50
S 0.4741 0.2707 0.7616  1 Zn 2.35, 1 Sn 2.40
S 0.5079 0.6346 0.1229  2 Sn 2.45-2.49
S 0.6262 0.7106 0.4724  1 Zn 2.36, 1 Sn 2.40
S 0.6280 0.9812 0.1998  1 Zn 2.36, 1 Sn 2.42
S 0.7604 0.9918 0.4789  4 Zn 2.35-2.37
S 0.7665 0.7107 0.7585  1 Zn 2.36, 1 Sn 2.41
S 0.7677 0.2724 0.1976  1 Zn 2.35, 1 Sn 2.40
S 0.7958 0.3465 0.8350  2 Sn 2.44-2.49
S 0.9037 0.9818 0.7589  1 Zn 2.37, 1 Sn 2.42
S 0.9052 0.2686 0.4719  1 Zn 2.36, 1 Sn 2.40

Computed properties:
magnetization	0.000	μB/atom

***

[9]
This record from the Materials Project describes a relaxed Eu2InHg crystal. The functional is GGA-PBE.

abc: 7.9485 7.9485 7.9485
angles: 90.00 90.00 90.00
Last column: nearest neighbours and their distance in Å.
Space group Fm-3m (No. 225)
Unique sites:
Eu 0.2500 0.2500 0.2500  4 Hg 3.44, 4 In 3.44
In 0.0000 0.0000 0.0000  8 Eu 3.44
Hg 0.0000 0.0000 0.5000  8 Eu 3.44

***

[10]
This record from the Materials Project describes a relaxed SmYIn2 crystal. The functional is GGA-PBE.

abc: 7.6122 7.6122 7.6122
angles: 90.00 90.00 90.00
Last column: nearest neighbours and their distance in Å.
Space group Fm-3m (No. 225)
Unique sites:
Sm 0.0000 0.0000 0.0000  8 In 3.30
Y 0.0000 0.0000 0.5000  8 In 3.30
In 0.2500 0.2500 0.2500  4 Y 3.30, 4 Sm 3.30

***

[11]
This record from the Materials Project describes a relaxed Er2SbO2 crystal. The functional is GGA-PBE.

abc: 3.8371 13.2769 3.8205
angles: 90.00 90.00 90.00
Last column: nearest neighbours and their distance in Å.
Space group Imm2 (No. 44)
Unique sites:
Er 0.0000 0.1670 0.0000  4 O 2.20-2.21
Sb 0.0000 0.5000 0.9538  8 Er 3.41-3.60, 2 O 3.75
O 0.0000 0.2501 0.4981  4 Er 2.20-2.21

Computed properties:
magnetization	0.000	μB/atom

***

Here are the calculated E_tot numbers, same order: -11.067, -5.643, -10.226, -6.817, -1.962, -4.188, -7.038, -3.997, -6.402, -4.661, -7.370 (eV per atom).
Here are the calculated energy relative to the elements numbers, same order: -14.60, -33.90, -78.84, -88.75, -0.30, -0.88, -13.09, -34.53, -2.04, -1.96, -15.06 (eV per formula unit).